A geometry-optimized Na30Mg8Ta16Si27S9O144 structure. Source: the Materials Project database, functional PBE-GGA.

Its total energy is -7.285 eV per atom. Its crystal system is triclinic. The magnetization comes out at 0.00 μB/f.u. The space group is P1 (1).

Structure (CIF):
```
data_Na30Mg8Ta16Si27S9O144
_space_group_name_H-M_alt 'P 1'
_space_group_IT_number 1
_cell_length_a 8.998
_cell_length_b 15.581
_cell_length_c 22.529
_cell_angle_alpha 89.93
_cell_angle_beta 89.96
_cell_angle_gamma 89.93
loop_
_space_group_symop_operation_xyz
'x,y,z'
loop_
_atom_site_label
_atom_site_type_symbol
_atom_site_fract_x
_atom_site_fract_y
_atom_site_fract_z
_atom_site_occupancy
Na1 Na 0.000 0.000 0.000 1
Na2 Na 0.001 0.327 0.672 1
Na3 Na 0.013 0.673 0.346 1
Na4 Na 0.051 0.021 0.673 1
Na5 Na 0.170 0.843 0.581 1
Na6 Na 0.171 0.512 0.425 1
Na7 Na 0.176 0.181 0.251 1
Na8 Na 0.185 0.512 0.926 1
Na9 Na 0.188 0.182 0.754 1
Na10 Na 0.192 0.838 0.085 1
Na11 Na 0.307 0.021 0.174 1
Na12 Na 0.344 0.672 0.846 1
Na13 Na 0.356 0.327 0.172 1
Na14 Na 0.376 0.700 0.167 1
Na15 Na 0.483 0.198 0.674 1
Na16 Na 0.496 0.526 0.345 1
Na17 Na 0.499 0.826 0.673 1
Na18 Na 0.549 0.522 0.672 1
Na19 Na 0.663 0.014 0.923 1
Na20 Na 0.672 0.687 0.251 1
Na21 Na 0.678 0.015 0.419 1
Na22 Na 0.678 0.350 0.584 1
Na23 Na 0.683 0.686 0.752 1
Na24 Na 0.685 0.344 0.082 1
Na25 Na 0.806 0.521 0.172 1
Na26 Na 0.846 0.170 0.846 1
Na27 Na 0.855 0.827 0.175 1
Na28 Na 0.859 0.525 0.846 1
Na29 Na 0.876 0.198 0.168 1
Na30 Na 0.980 0.699 0.666 1
Mg1 Mg 0.171 0.184 0.112 1
Mg2 Mg 0.172 0.844 0.441 1
Mg3 Mg 0.178 0.182 0.612 1
Mg4 Mg 0.185 0.842 0.941 1
Mg5 Mg 0.670 0.683 0.112 1
Mg6 Mg 0.678 0.349 0.438 1
Mg7 Mg 0.682 0.344 0.942 1
Mg8 Mg 0.684 0.682 0.611 1
Ta1 Ta 0.172 0.181 0.902 1
Ta2 Ta 0.172 0.519 0.570 1
Ta3 Ta 0.175 0.181 0.398 1
Ta4 Ta 0.176 0.513 0.279 1
Ta5 Ta 0.176 0.848 0.740 1
Ta6 Ta 0.181 0.513 0.778 1
Ta7 Ta 0.181 0.849 0.240 1
Ta8 Ta 0.183 0.519 0.071 1
Ta9 Ta 0.667 0.683 0.903 1
Ta10 Ta 0.674 0.016 0.280 1
Ta11 Ta 0.675 0.348 0.739 1
Ta12 Ta 0.677 0.015 0.780 1
Ta13 Ta 0.678 0.015 0.572 1
Ta14 Ta 0.679 0.347 0.240 1
Ta15 Ta 0.681 0.020 0.073 1
Ta16 Ta 0.689 0.685 0.402 1
Si1 Si 0.030 0.704 0.842 1
Si2 Si 0.031 0.371 0.173 1
Si3 Si 0.033 0.662 0.175 1
Si4 Si 0.033 0.990 0.846 1
Si5 Si 0.323 0.662 0.674 1
Si6 Si 0.323 0.989 0.346 1
Si7 Si 0.324 0.371 0.672 1
Si8 Si 0.325 0.705 0.343 1
Si9 Si 0.380 0.686 0.013 1
Si10 Si 0.387 0.015 0.674 1
Si11 Si 0.391 0.349 0.344 1
Si12 Si 0.465 0.853 0.843 1
Si13 Si 0.470 0.514 0.175 1
Si14 Si 0.530 0.489 0.845 1
Si15 Si 0.531 0.205 0.843 1
Si16 Si 0.532 0.162 0.175 1
Si17 Si 0.533 0.872 0.174 1
Si18 Si 0.816 0.204 0.345 1
Si19 Si 0.823 0.161 0.674 1
Si20 Si 0.824 0.870 0.675 1
Si21 Si 0.826 0.491 0.344 1
Si22 Si 0.882 0.187 0.012 1
Si23 Si 0.886 0.514 0.675 1
Si24 Si 0.891 0.854 0.343 1
Si25 Si 0.966 0.351 0.843 1
Si26 Si 0.969 0.014 0.176 1
Si27 Si 0.974 0.687 0.512 1
S1 S 0.032 0.038 0.510 1
S2 S 0.032 0.326 0.510 1
S3 S 0.321 0.327 0.009 1
S4 S 0.325 0.038 0.009 1
S5 S 0.468 0.182 0.509 1
S6 S 0.532 0.535 0.509 1
S7 S 0.533 0.828 0.509 1
S8 S 0.821 0.827 0.010 1
S9 S 0.823 0.537 0.009 1
O1 O 0.002 0.513 0.333 1
O2 O 0.003 0.193 0.351 1
O3 O 0.006 0.867 0.680 1
O4 O 0.054 0.939 0.906 1
O5 O 0.058 0.763 0.781 1
O6 O 0.060 0.435 0.115 1
O7 O 0.063 0.095 0.457 1
O8 O 0.066 0.277 0.564 1
O9 O 0.066 0.925 0.180 1
O10 O 0.067 0.602 0.233 1
O11 O 0.069 0.262 0.850 1
O12 O 0.074 0.592 0.513 1
O13 O 0.078 0.095 0.171 1
O14 O 0.078 0.432 0.830 1
O15 O 0.083 0.766 0.505 1
O16 O 0.086 0.080 0.564 1
O17 O 0.095 0.954 0.504 1
O18 O 0.098 0.606 0.830 1
O19 O 0.099 0.281 0.457 1
O20 O 0.104 0.422 0.230 1
O21 O 0.107 0.278 0.171 1
O22 O 0.108 0.090 0.850 1
O23 O 0.108 0.946 0.785 1
O24 O 0.110 0.413 0.512 1
O25 O 0.116 0.613 0.117 1
O26 O 0.118 0.755 0.180 1
O27 O 0.122 0.741 0.896 1
O28 O 0.232 0.740 0.397 1
O29 O 0.238 0.755 0.680 1
O30 O 0.239 0.614 0.617 1
O31 O 0.241 0.413 0.011 1
O32 O 0.245 0.088 0.353 1
O33 O 0.246 0.948 0.283 1
O34 O 0.250 0.420 0.729 1
O35 O 0.253 0.277 0.668 1
O36 O 0.253 0.954 0.004 1
O37 O 0.255 0.281 0.956 1
O38 O 0.259 0.606 0.331 1
O39 O 0.268 0.080 0.063 1
O40 O 0.272 0.766 0.005 1
O41 O 0.279 0.431 0.331 1
O42 O 0.281 0.591 0.013 1
O43 O 0.282 0.263 0.352 1
O44 O 0.283 0.097 0.668 1
O45 O 0.289 0.926 0.681 1
O46 O 0.290 0.602 0.732 1
O47 O 0.291 0.278 0.064 1
O48 O 0.294 0.093 0.955 1
O49 O 0.297 0.435 0.615 1
O50 O 0.298 0.763 0.281 1
O51 O 0.298 0.933 0.402 1
O52 O 0.350 0.194 0.851 1
O53 O 0.350 0.866 0.180 1
O54 O 0.354 0.512 0.833 1
O55 O 0.356 0.173 0.167 1
O56 O 0.356 0.497 0.118 1
O57 O 0.361 0.527 0.232 1
O58 O 0.363 0.528 0.512 1
O59 O 0.363 0.830 0.783 1
O60 O 0.368 0.170 0.457 1
O61 O 0.370 0.869 0.900 1
O62 O 0.376 0.842 0.503 1
O63 O 0.379 0.189 0.564 1
O64 O 0.480 0.340 0.002 1
O65 O 0.481 0.690 0.070 1
O66 O 0.488 0.375 0.399 1
O67 O 0.492 0.029 0.011 1
O68 O 0.492 0.332 0.283 1
O69 O 0.496 0.672 0.951 1
O70 O 0.499 0.008 0.332 1
O71 O 0.499 0.672 0.668 1
O72 O 0.500 0.030 0.730 1
O73 O 0.500 0.997 0.616 1
O74 O 0.506 0.689 0.352 1
O75 O 0.507 0.366 0.680 1
O76 O 0.558 0.263 0.781 1
O77 O 0.558 0.434 0.901 1
O78 O 0.562 0.100 0.512 1
O79 O 0.562 0.589 0.455 1
O80 O 0.562 0.936 0.115 1
O81 O 0.564 0.099 0.231 1
O82 O 0.564 0.257 0.504 1
O83 O 0.566 0.780 0.564 1
O84 O 0.567 0.425 0.180 1
O85 O 0.570 0.763 0.849 1
O86 O 0.576 0.596 0.172 1
O87 O 0.581 0.931 0.831 1
O88 O 0.587 0.578 0.563 1
O89 O 0.597 0.449 0.505 1
O90 O 0.600 0.783 0.456 1
O91 O 0.602 0.109 0.830 1
O92 O 0.606 0.921 0.230 1
O93 O 0.607 0.778 0.170 1
O94 O 0.610 0.588 0.850 1
O95 O 0.611 0.449 0.783 1
O96 O 0.613 0.916 0.512 1
O97 O 0.616 0.116 0.116 1
O98 O 0.617 0.255 0.180 1
O99 O 0.625 0.241 0.896 1
O100 O 0.737 0.255 0.679 1
O101 O 0.739 0.113 0.617 1
O102 O 0.744 0.450 0.283 1
O103 O 0.744 0.914 0.011 1
O104 O 0.745 0.243 0.402 1
O105 O 0.746 0.589 0.350 1
O106 O 0.748 0.778 0.671 1
O107 O 0.751 0.922 0.730 1
O108 O 0.754 0.108 0.331 1
O109 O 0.756 0.452 0.004 1
O110 O 0.759 0.782 0.956 1
O111 O 0.769 0.581 0.063 1
O112 O 0.774 0.267 0.005 1
O113 O 0.774 0.932 0.331 1
O114 O 0.778 0.596 0.672 1
O115 O 0.784 0.090 0.012 1
O116 O 0.785 0.763 0.349 1
O117 O 0.789 0.425 0.680 1
O118 O 0.791 0.102 0.732 1
O119 O 0.791 0.778 0.064 1
O120 O 0.794 0.264 0.283 1
O121 O 0.794 0.592 0.954 1
O122 O 0.794 0.935 0.616 1
O123 O 0.801 0.437 0.402 1
O124 O 0.849 0.366 0.181 1
O125 O 0.849 0.689 0.850 1
O126 O 0.853 0.029 0.229 1
O127 O 0.855 0.012 0.833 1
O128 O 0.857 0.672 0.168 1
O129 O 0.859 0.673 0.452 1
O130 O 0.861 0.033 0.512 1
O131 O 0.861 0.997 0.115 1
O132 O 0.863 0.330 0.782 1
O133 O 0.866 0.376 0.897 1
O134 O 0.872 0.338 0.505 1
O135 O 0.874 0.691 0.571 1
O136 O 0.981 0.842 0.004 1
O137 O 0.982 0.187 0.070 1
O138 O 0.984 0.868 0.401 1
O139 O 0.992 0.530 0.011 1
O140 O 0.993 0.830 0.283 1
O141 O 0.996 0.527 0.732 1
O142 O 0.998 0.169 0.952 1
O143 O 0.999 0.172 0.668 1
O144 O 0.999 0.496 0.618 1
```

=====

A geometry-optimized As2O3 structure. Source: the Materials Project database, functional PBE-GGA.

Its total energy is -6.043 eV per atom. Its crystal system is monoclinic. The magnetization comes out at 0.00 μB/f.u. The space group is P2_1/c (14).

Structure (CIF):
```
data_As2O3
_space_group_name_H-M_alt 'P 1'
_space_group_IT_number 1
_cell_length_a 11.216
_cell_length_b 14.051
_cell_length_c 13.911
_cell_angle_alpha 90.00
_cell_angle_beta 97.86
_cell_angle_gamma 90.00
loop_
_space_group_symop_operation_xyz
'x,y,z'
loop_
_atom_site_label
_atom_site_type_symbol
_atom_site_fract_x
_atom_site_fract_y
_atom_site_fract_z
_atom_site_occupancy
As1 As 0.091 0.105 0.281 1
As2 As 0.091 0.395 0.781 1
As3 As 0.094 0.730 0.800 1
As4 As 0.094 0.770 0.300 1
As5 As 0.095 0.066 0.787 1
As6 As 0.095 0.434 0.287 1
As7 As 0.150 0.085 0.514 1
As8 As 0.150 0.415 0.014 1
As9 As 0.151 0.085 0.019 1
As10 As 0.151 0.415 0.519 1
As11 As 0.158 0.747 0.030 1
As12 As 0.158 0.753 0.530 1
As13 As 0.345 0.584 0.473 1
As14 As 0.345 0.916 0.973 1
As15 As 0.346 0.579 0.977 1
As16 As 0.346 0.921 0.477 1
As17 As 0.350 0.248 0.487 1
As18 As 0.350 0.252 0.987 1
As19 As 0.405 0.601 0.703 1
As20 As 0.405 0.899 0.203 1
As21 As 0.407 0.230 0.221 1
As22 As 0.407 0.270 0.721 1
As23 As 0.408 0.560 0.208 1
As24 As 0.408 0.940 0.708 1
As25 As 0.592 0.060 0.292 1
As26 As 0.592 0.440 0.792 1
As27 As 0.593 0.730 0.279 1
As28 As 0.593 0.770 0.779 1
As29 As 0.595 0.101 0.797 1
As30 As 0.595 0.399 0.297 1
As31 As 0.650 0.748 0.013 1
As32 As 0.650 0.752 0.513 1
As33 As 0.654 0.079 0.523 1
As34 As 0.654 0.421 0.023 1
As35 As 0.655 0.084 0.027 1
As36 As 0.655 0.416 0.527 1
As37 As 0.842 0.247 0.470 1
As38 As 0.842 0.253 0.970 1
As39 As 0.849 0.585 0.481 1
As40 As 0.849 0.915 0.981 1
As41 As 0.850 0.585 0.986 1
As42 As 0.850 0.915 0.486 1
As43 As 0.905 0.566 0.713 1
As44 As 0.905 0.934 0.213 1
As45 As 0.906 0.230 0.700 1
As46 As 0.906 0.270 0.200 1
As47 As 0.909 0.605 0.219 1
As48 As 0.909 0.895 0.719 1
O1 O 0.048 0.520 0.774 1
O2 O 0.048 0.980 0.274 1
O3 O 0.050 0.057 0.909 1
O4 O 0.050 0.443 0.409 1
O5 O 0.051 0.721 0.923 1
O6 O 0.051 0.779 0.423 1
O7 O 0.053 0.189 0.759 1
O8 O 0.053 0.311 0.259 1
O9 O 0.057 0.646 0.276 1
O10 O 0.057 0.854 0.776 1
O11 O 0.060 0.130 0.405 1
O12 O 0.060 0.370 0.905 1
O13 O 0.236 0.525 0.540 1
O14 O 0.236 0.634 0.048 1
O15 O 0.236 0.866 0.548 1
O16 O 0.236 0.975 0.040 1
O17 O 0.241 0.187 0.554 1
O18 O 0.241 0.313 0.054 1
O19 O 0.259 0.148 0.952 1
O20 O 0.259 0.352 0.452 1
O21 O 0.260 0.028 0.445 1
O22 O 0.260 0.472 0.945 1
O23 O 0.268 0.698 0.460 1
O24 O 0.268 0.802 0.960 1
O25 O 0.442 0.211 0.097 1
O26 O 0.442 0.289 0.597 1
O27 O 0.443 0.022 0.234 1
O28 O 0.443 0.478 0.734 1
O29 O 0.445 0.541 0.085 1
O30 O 0.445 0.959 0.585 1
O31 O 0.447 0.686 0.221 1
O32 O 0.447 0.814 0.721 1
O33 O 0.452 0.145 0.736 1
O34 O 0.452 0.355 0.236 1
O35 O 0.453 0.605 0.581 1
O36 O 0.453 0.895 0.081 1
O37 O 0.547 0.105 0.919 1
O38 O 0.547 0.395 0.419 1
O39 O 0.548 0.645 0.764 1
O40 O 0.548 0.855 0.264 1
O41 O 0.553 0.186 0.279 1
O42 O 0.553 0.314 0.779 1
O43 O 0.555 0.041 0.415 1
O44 O 0.555 0.459 0.915 1
O45 O 0.557 0.522 0.266 1
O46 O 0.557 0.978 0.766 1
O47 O 0.558 0.711 0.403 1
O48 O 0.558 0.789 0.903 1
O49 O 0.732 0.198 0.040 1
O50 O 0.732 0.302 0.540 1
O51 O 0.740 0.528 0.055 1
O52 O 0.740 0.972 0.555 1
O53 O 0.741 0.648 0.548 1
O54 O 0.741 0.852 0.048 1
O55 O 0.759 0.687 0.946 1
O56 O 0.759 0.813 0.446 1
O57 O 0.764 0.025 0.960 1
O58 O 0.764 0.134 0.452 1
O59 O 0.764 0.366 0.952 1
O60 O 0.764 0.475 0.460 1
O61 O 0.940 0.630 0.095 1
O62 O 0.940 0.870 0.595 1
O63 O 0.943 0.146 0.224 1
O64 O 0.943 0.354 0.724 1
O65 O 0.947 0.689 0.741 1
O66 O 0.947 0.811 0.241 1
O67 O 0.949 0.221 0.577 1
O68 O 0.949 0.279 0.077 1
O69 O 0.950 0.557 0.591 1
O70 O 0.950 0.943 0.091 1
O71 O 0.952 0.020 0.726 1
O72 O 0.952 0.480 0.226 1
```

=====

A geometry-optimized NaLiCO3 structure. Source: the Materials Project database, functional PBE-GGA.

Its total energy is -6.377 eV per atom. Its crystal system is triclinic. The magnetization comes out at 0.00 μB/f.u. The space group is P1 (1). Its energy relative to the lowest polymorph listed for this composition is 0.000 eV/atom.

Structure (CIF):
```
data_NaLiCO3
_space_group_name_H-M_alt 'P 1'
_space_group_IT_number 1
_cell_length_a 3.359
_cell_length_b 14.475
_cell_length_c 14.484
_cell_angle_alpha 60.07
_cell_angle_beta 88.23
_cell_angle_gamma 88.33
loop_
_space_group_symop_operation_xyz
'x,y,z'
loop_
_atom_site_label
_atom_site_type_symbol
_atom_site_fract_x
_atom_site_fract_y
_atom_site_fract_z
_atom_site_occupancy
Na1 Na 0.000 0.000 0.000 1
Na2 Na 0.002 0.025 0.686 1
Na3 Na 0.014 0.705 0.359 1
Na4 Na 0.036 0.641 0.064 1
Na5 Na 0.047 0.674 0.675 1
Na6 Na 0.051 0.316 0.714 1
Na7 Na 0.088 0.326 0.351 1
Na8 Na 0.963 0.994 0.384 1
Na9 Na 0.990 0.357 0.033 1
Li1 Li 0.471 0.196 0.240 1
Li2 Li 0.491 0.924 0.227 1
Li3 Li 0.504 0.223 0.932 1
Li4 Li 0.507 0.868 0.913 1
Li5 Li 0.525 0.880 0.629 1
Li6 Li 0.532 0.550 0.581 1
Li7 Li 0.532 0.573 0.908 1
Li8 Li 0.549 0.554 0.282 1
Li9 Li 0.576 0.269 0.554 1
C1 C 0.024 0.767 0.821 1
C2 C 0.050 0.462 0.475 1
C3 C 0.511 0.795 0.471 1
C4 C 0.517 0.782 0.141 1
C5 C 0.519 0.116 0.474 1
C6 C 0.521 0.112 0.798 1
C7 C 0.528 0.449 0.807 1
C8 C 0.533 0.439 0.153 1
C9 C 0.988 0.117 0.126 1
O1 O 0.019 0.838 0.720 1
O2 O 0.020 0.798 0.892 1
O3 O 0.033 0.666 0.851 1
O4 O 0.039 0.532 0.374 1
O5 O 0.040 0.492 0.547 1
O6 O 0.072 0.360 0.506 1
O7 O 0.438 0.108 0.391 1
O8 O 0.440 0.348 0.162 1
O9 O 0.474 0.881 0.379 1
O10 O 0.482 0.020 0.805 1
O11 O 0.483 0.702 0.479 1
O12 O 0.489 0.121 0.883 1
O13 O 0.506 0.442 0.900 1
O14 O 0.509 0.868 0.048 1
O15 O 0.520 0.689 0.148 1
O16 O 0.523 0.789 0.227 1
O17 O 0.524 0.031 0.568 1
O18 O 0.527 0.362 0.801 1
O19 O 0.551 0.541 0.721 1
O20 O 0.567 0.523 0.060 1
O21 O 0.577 0.802 0.555 1
O22 O 0.589 0.446 0.238 1
O23 O 0.594 0.196 0.706 1
O24 O 0.595 0.208 0.463 1
O25 O 0.983 0.148 0.197 1
O26 O 0.989 0.016 0.157 1
O27 O 0.993 0.189 0.025 1
```

=====

A geometry-optimized LaGe2PdRh structure. Source: the Materials Project database, functional PBE-GGA.

Its total energy is -6.243 eV per atom. Its crystal system is tetragonal. The magnetization comes out at 0.00 μB/f.u. The space group is P4/nmm (129). Its energy relative to the lowest polymorph listed for this composition is 0.000 eV/atom.

Structure (CIF):
```
data_LaGe2PdRh
_space_group_name_H-M_alt 'P 1'
_space_group_IT_number 1
_cell_length_a 4.325
_cell_length_b 4.325
_cell_length_c 10.364
_cell_angle_alpha 90.00
_cell_angle_beta 90.00
_cell_angle_gamma 90.00
loop_
_space_group_symop_operation_xyz
'x,y,z'
loop_
_atom_site_label
_atom_site_type_symbol
_atom_site_fract_x
_atom_site_fract_y
_atom_site_fract_z
_atom_site_occupancy
La1 La 0.250 0.250 0.247 1
La2 La 0.750 0.750 0.753 1
Ge1 Ge 0.250 0.250 0.624 1
Ge2 Ge 0.250 0.750 0.000 1
Ge3 Ge 0.750 0.250 0.000 1
Ge4 Ge 0.750 0.750 0.376 1
Pd1 Pd 0.250 0.250 0.867 1
Pd2 Pd 0.750 0.750 0.133 1
Rh1 Rh 0.250 0.750 0.500 1
Rh2 Rh 0.750 0.250 0.500 1
```